1.
A plane-wave DFT calculation with PBE-GGA was carried out for Na4CaGaP3O12 after structural relaxation.

Summary:
formation energy: -2.6724 eV/atom
V: 12.81 Å³/atom
calculated total energy: -6.37 eV/atom

abc: 9.222 9.222 21.921
angles: 90.00 90.00 120.00
Fractional positions:
Na1 0.637 0.005 0.249
Na2 0.367 0.363 0.249
Na3 0.995 0.633 0.249
Na4 0.637 0.633 0.749
Na5 0.995 0.363 0.749
Na6 0.367 0.005 0.749
Na7 0.304 0.338 0.582
Na8 0.034 0.696 0.582
Na9 0.662 0.966 0.582
Na10 0.304 0.966 0.082
Na11 0.662 0.696 0.082
Na12 0.034 0.338 0.082
Na13 0.971 0.671 0.915
Na14 0.701 0.029 0.915
Na15 0.329 0.299 0.915
Na16 0.971 0.299 0.415
Na17 0.329 0.029 0.415
Na18 0.701 0.671 0.415
Na19 0.000 0.000 0.501
Na20 0.000 0.000 0.001
Na21 0.667 0.333 0.835
Na22 0.667 0.333 0.335
Na23 0.333 0.667 0.168
Na24 0.333 0.667 0.668
Ca1 0.000 0.000 0.349
Ca2 0.000 0.000 0.849
Ca3 0.667 0.333 0.682
Ca4 0.667 0.333 0.182
Ca5 0.333 0.667 0.016
Ca6 0.333 0.667 0.516
Ga1 0.000 0.000 0.650
Ga2 0.000 0.000 0.150
Ga3 0.667 0.333 0.983
Ga4 0.667 0.333 0.483
Ga5 0.333 0.667 0.316
Ga6 0.333 0.667 0.816
P1 0.293 0.985 0.250
P2 0.692 0.707 0.250
P3 0.015 0.308 0.250
P4 0.293 0.308 0.750
P5 0.015 0.707 0.750
P6 0.692 0.985 0.750
P7 0.959 0.318 0.584
P8 0.359 0.041 0.584
P9 0.682 0.641 0.584
P10 0.959 0.641 0.084
P11 0.682 0.041 0.084
P12 0.359 0.318 0.084
P13 0.626 0.652 0.917
P14 0.026 0.374 0.917
P15 0.348 0.974 0.917
P16 0.626 0.974 0.417
P17 0.348 0.374 0.417
P18 0.026 0.652 0.417
O1 0.221 0.012 0.309
O2 0.790 0.779 0.309
O3 0.988 0.210 0.309
O4 0.221 0.210 0.809
O5 0.988 0.779 0.809
O6 0.790 0.012 0.809
O7 0.787 0.964 0.694
O8 0.177 0.213 0.694
O9 0.036 0.823 0.694
O10 0.787 0.823 0.194
O11 0.036 0.213 0.194
O12 0.177 0.964 0.194
O13 0.888 0.345 0.642
O14 0.457 0.112 0.642
O15 0.655 0.543 0.642
O16 0.888 0.543 0.142
O17 0.655 0.112 0.142
O18 0.457 0.345 0.142
O19 0.453 0.297 0.027
O20 0.844 0.547 0.027
O21 0.703 0.156 0.027
O22 0.453 0.156 0.527
O23 0.703 0.547 0.527
O24 0.844 0.297 0.527
O25 0.555 0.678 0.976
O26 0.124 0.445 0.976
O27 0.322 0.876 0.976
O28 0.555 0.876 0.476
O29 0.322 0.445 0.476
O30 0.124 0.678 0.476
O31 0.120 0.631 0.360
O32 0.511 0.880 0.360
O33 0.369 0.489 0.360
O34 0.120 0.489 0.860
O35 0.369 0.880 0.860
O36 0.511 0.631 0.860
O37 0.996 0.801 0.411
O38 0.805 0.004 0.411
O39 0.199 0.195 0.411
O40 0.996 0.195 0.911
O41 0.199 0.004 0.911
O42 0.805 0.801 0.911
O43 0.967 0.151 0.587
O44 0.184 0.033 0.587
O45 0.849 0.816 0.587
O46 0.967 0.816 0.087
O47 0.849 0.033 0.087
O48 0.184 0.151 0.087
O49 0.663 0.135 0.745
O50 0.472 0.337 0.745
O51 0.865 0.528 0.745
O52 0.663 0.528 0.245
O53 0.865 0.337 0.245
O54 0.472 0.135 0.245
O55 0.633 0.484 0.920
O56 0.851 0.367 0.920
O57 0.516 0.149 0.920
O58 0.633 0.149 0.420
O59 0.516 0.367 0.420
O60 0.851 0.484 0.420
O61 0.329 0.468 0.078
O62 0.139 0.671 0.078
O63 0.532 0.861 0.078
O64 0.329 0.861 0.578
O65 0.532 0.671 0.578
O66 0.139 0.468 0.578
O67 0.300 0.817 0.253
O68 0.517 0.700 0.253
O69 0.183 0.483 0.253
O70 0.300 0.483 0.753
O71 0.183 0.700 0.753
O72 0.517 0.817 0.753


2.
A plane-wave DFT calculation with PBE-GGA was carried out for MgRe2O8 after structural relaxation.

Summary:
formation energy: -2.4028 eV/atom
V: 17.77 Å³/atom
calculated total energy: -7.91 eV/atom
space-group type: P-3m1 (164)
energy relative to the lowest polymorph listed for this composition: 0 meV per atom

abc: 5.819 5.819 6.667
angles: 90.00 90.00 120.00
Fractional positions:
Mg1 0.000 0.000 0.000
Re1 0.333 0.667 0.267
Re2 0.667 0.333 0.733
O1 0.170 0.832 0.179
O2 0.168 0.338 0.179
O3 0.333 0.667 0.527
O4 0.338 0.170 0.821
O5 0.662 0.830 0.179
O6 0.667 0.333 0.473
O7 0.832 0.662 0.821
O8 0.830 0.168 0.821


3.
A plane-wave DFT calculation with PBE-GGA was carried out for YWN3 after structural relaxation.

Summary:
formation energy: -1.1617 eV/atom
V: 12.51 Å³/atom
calculated total energy: -9.83 eV/atom
space-group type: R3c (161)

abc: 5.643 5.643 5.643
angles: 59.32 59.32 59.32
Fractional positions:
Y1 0.268 0.268 0.268
Y2 0.768 0.768 0.768
W1 0.508 0.508 0.508
W2 0.008 0.008 0.008
N1 0.154 0.732 0.321
N2 0.821 0.232 0.654
N3 0.321 0.154 0.732
N4 0.654 0.821 0.232
N5 0.232 0.654 0.821
N6 0.732 0.321 0.154


4.
A plane-wave DFT calculation with PBE-GGA was carried out for NaSm2Se3 after structural relaxation.

Summary:
formation energy: -1.9618 eV/atom
V: 26.02 Å³/atom
calculated total energy: -5.27 eV/atom
space-group type: C2/c (15)

abc: 7.245 7.245 7.250
angles: 80.26 80.26 119.42
Fractional positions:
Na1 0.417 0.583 0.750
Na2 0.583 0.417 0.250
Sm1 0.749 0.251 0.750
Sm2 0.083 0.917 0.750
Sm3 0.917 0.083 0.250
Sm4 0.251 0.749 0.250
Se1 0.163 0.331 0.502
Se2 0.837 0.669 0.498
Se3 0.669 0.837 0.998
Se4 0.500 0.000 0.500
Se5 0.331 0.163 0.002
Se6 0.000 0.500 0.000


Among the records above, which one has the highest calculated total energy?
NaSm2Se3


Copy entry 2 word for word.
A plane-wave DFT calculation with PBE-GGA was carried out for MgRe2O8 after structural relaxation.

Summary:
formation energy: -2.4028 eV/atom
V: 17.77 Å³/atom
calculated total energy: -7.91 eV/atom
space-group type: P-3m1 (164)
energy relative to the lowest polymorph listed for this composition: 0 meV per atom

abc: 5.819 5.819 6.667
angles: 90.00 90.00 120.00
Fractional positions:
Mg1 0.000 0.000 0.000
Re1 0.333 0.667 0.267
Re2 0.667 0.333 0.733
O1 0.170 0.832 0.179
O2 0.168 0.338 0.179
O3 0.333 0.667 0.527
O4 0.338 0.170 0.821
O5 0.662 0.830 0.179
O6 0.667 0.333 0.473
O7 0.832 0.662 0.821
O8 0.830 0.168 0.821